#1
Li4Co2C4SO16: relaxed, PBE with a Hubbard U.

Cell: 9.629 9.565 9.226 Å, 61.62 60.92 57.46°
Fractional coordinates of all 54 atoms:
Li 0.080 0.670 0.080
Li 0.081 0.669 0.669
Li 0.330 0.920 0.330
Li 0.331 0.919 0.919
Li 0.669 0.081 0.081
Li 0.670 0.080 0.670
Li 0.919 0.331 0.331
Li 0.920 0.330 0.920
Co 0.000 0.500 0.500
Co 0.500 0.000 0.500
Co 0.500 0.500 0.000
Co 0.500 0.500 0.500
C 0.270 0.654 0.292
C 0.285 0.292 0.654
C 0.292 0.285 0.270
C 0.346 0.730 0.715
C 0.654 0.270 0.285
C 0.708 0.715 0.730
C 0.715 0.708 0.346
C 0.730 0.346 0.708
S 0.125 0.125 0.125
S 0.875 0.875 0.875
O 0.046 0.319 0.068
O 0.067 0.068 0.319
O 0.068 0.067 0.046
O 0.134 0.643 0.421
O 0.139 0.310 0.661
O 0.140 0.412 0.285
O 0.285 0.662 0.140
O 0.302 0.421 0.643
O 0.310 0.139 0.391
O 0.319 0.046 0.067
O 0.338 0.715 0.588
O 0.339 0.609 0.861
O 0.357 0.866 0.698
O 0.391 0.661 0.310
O 0.412 0.140 0.662
O 0.421 0.302 0.134
O 0.579 0.698 0.866
O 0.588 0.860 0.338
O 0.609 0.339 0.690
O 0.643 0.134 0.302
O 0.661 0.391 0.139
O 0.662 0.285 0.412
O 0.681 0.954 0.933
O 0.690 0.861 0.609
O 0.698 0.579 0.357
O 0.715 0.338 0.860
O 0.860 0.588 0.715
O 0.861 0.690 0.339
O 0.866 0.357 0.579
O 0.932 0.933 0.954
O 0.933 0.932 0.681
O 0.954 0.681 0.932


#2
Li4Co2C4SO16: relaxed, PBE with a Hubbard U.

Cell: 9.146 9.156 9.243 Å, 118.93 118.90 91.29°
Fractional coordinates of all 54 atoms:
Li 0.000 0.000 0.000
Li 0.002 0.424 0.006
Li 0.236 0.170 0.500
Li 0.241 0.758 0.514
Li 0.396 0.422 0.006
Li 0.645 0.163 0.482
Li 0.652 0.168 0.927
Li 0.656 0.749 0.500
Co 0.322 0.584 0.750
Co 0.821 0.584 0.251
Co 0.823 0.083 0.250
Co 0.823 0.584 0.749
C 0.032 0.361 0.677
C 0.038 0.728 0.676
C 0.044 0.372 0.322
C 0.603 0.795 0.177
C 0.606 0.434 0.822
C 0.609 0.803 0.819
C 0.677 0.368 0.324
C 0.968 0.799 0.175
S 0.195 0.215 0.003
S 0.452 0.966 0.512
O 0.016 0.487 0.809
O 0.021 0.728 0.528
O 0.028 0.220 0.300
O 0.179 0.723 0.801
O 0.185 0.378 0.700
O 0.185 0.505 0.471
O 0.250 0.144 0.129
O 0.254 0.415 0.124
O 0.268 0.161 0.880
O 0.383 0.028 0.642
O 0.391 0.042 0.392
O 0.392 0.770 0.392
O 0.459 0.785 0.798
O 0.460 0.434 0.694
O 0.461 0.661 0.026
O 0.621 0.427 0.967
O 0.621 0.947 0.203
O 0.629 0.677 0.691
O 0.650 0.033 0.642
O 0.666 0.498 0.300
O 0.680 0.383 0.471
O 0.681 0.226 0.195
O 0.727 0.777 0.311
O 0.737 0.432 0.804
O 0.738 0.955 0.965
O 0.901 0.218 0.527
O 0.908 0.740 0.700
O 0.916 0.386 0.187
O 0.961 0.783 0.026
O 0.976 0.670 0.198
O 0.976 0.948 0.309
O 0.995 0.153 0.881


Most stable structure, least stable structure: #2, #1.


#1
Mg14CoCO16: relaxed, PBE with a Hubbard U.

Cell: 8.518 8.518 4.223 Å, 90.00 90.00 90.00°
Fractional coordinates of all 32 atoms:
Mg 0.000 0.247 0.000
Mg 0.000 0.500 0.500
Mg 0.000 0.753 0.000
Mg 0.247 0.000 0.000
Mg 0.249 0.249 0.500
Mg 0.249 0.500 0.000
Mg 0.249 0.751 0.500
Mg 0.500 0.000 0.500
Mg 0.500 0.249 0.000
Mg 0.500 0.751 0.000
Mg 0.751 0.249 0.500
Mg 0.751 0.500 0.000
Mg 0.751 0.751 0.500
Mg 0.753 0.000 0.000
Co 0.500 0.500 0.500
C 0.000 0.000 0.500
O 0.000 0.000 0.000
O 0.000 0.251 0.500
O 0.000 0.500 0.000
O 0.000 0.749 0.500
O 0.247 0.500 0.500
O 0.250 0.250 0.000
O 0.250 0.750 0.000
O 0.251 0.000 0.500
O 0.500 0.000 0.000
O 0.500 0.247 0.500
O 0.500 0.500 0.000
O 0.500 0.753 0.500
O 0.749 0.000 0.500
O 0.750 0.250 0.000
O 0.750 0.750 0.000
O 0.753 0.500 0.500


#2
Mg14CoCO16: relaxed, PBE with a Hubbard U.

Cell: 4.232 8.499 8.530 Å, 90.00 90.00 90.00°
Fractional coordinates of all 32 atoms:
Mg 0.000 0.000 0.000
Mg 0.000 0.000 0.500
Mg 0.000 0.254 0.248
Mg 0.000 0.254 0.752
Mg 0.000 0.746 0.248
Mg 0.000 0.746 0.752
Mg 0.500 0.000 0.249
Mg 0.500 0.000 0.751
Mg 0.500 0.250 0.500
Mg 0.500 0.254 0.000
Mg 0.500 0.500 0.247
Mg 0.500 0.500 0.753
Mg 0.500 0.746 0.000
Mg 0.500 0.750 0.500
Co 0.000 0.500 0.500
C 0.000 0.500 0.000
O 0.000 0.000 0.250
O 0.000 0.000 0.750
O 0.000 0.248 0.000
O 0.000 0.251 0.500
O 0.000 0.500 0.246
O 0.000 0.500 0.754
O 0.000 0.749 0.500
O 0.000 0.752 0.000
O 0.500 0.000 0.000
O 0.500 0.000 0.500
O 0.500 0.251 0.250
O 0.500 0.251 0.750
O 0.500 0.500 0.000
O 0.500 0.500 0.500
O 0.500 0.749 0.250
O 0.500 0.749 0.750


Most stable structure, least stable structure: #2, #1.


#1
Mg6CoCO8: relaxed, PBE with a Hubbard U.

Cell: 4.205 4.205 8.559 Å, 90.00 90.00 90.00°
Fractional coordinates of all 16 atoms:
Mg 0.000 0.000 0.000
Mg 0.000 0.500 0.255
Mg 0.000 0.500 0.745
Mg 0.500 0.000 0.255
Mg 0.500 0.000 0.745
Mg 0.500 0.500 0.000
Co 0.000 0.000 0.500
C 0.500 0.500 0.500
O 0.000 0.000 0.249
O 0.000 0.000 0.751
O 0.000 0.500 0.000
O 0.000 0.500 0.500
O 0.500 0.000 0.000
O 0.500 0.000 0.500
O 0.500 0.500 0.251
O 0.500 0.500 0.749


#2
Mg6CoCO8: relaxed, PBE with a Hubbard U.

Cell: 4.224 4.224 8.501 Å, 90.00 90.00 90.00°
Fractional coordinates of all 16 atoms:
Mg 0.000 0.000 0.000
Mg 0.000 0.000 0.500
Mg 0.000 0.500 0.247
Mg 0.000 0.500 0.753
Mg 0.500 0.000 0.247
Mg 0.500 0.000 0.753
Co 0.500 0.500 0.500
C 0.500 0.500 0.000
O 0.000 0.000 0.248
O 0.000 0.000 0.752
O 0.000 0.500 0.000
O 0.000 0.500 0.500
O 0.500 0.000 0.000
O 0.500 0.000 0.500
O 0.500 0.500 0.248
O 0.500 0.500 0.752


Most stable structure, least stable structure: #2, #1.


#1
Na4Co2C4SO16: relaxed, PBE with a Hubbard U.

Cell: 9.955 9.925 9.897 Å, 60.29 60.00 59.71°
Fractional coordinates of all 54 atoms:
Na 0.036 0.464 0.464
Na 0.215 0.215 0.785
Na 0.215 0.785 0.215
Na 0.215 0.785 0.785
Na 0.464 0.036 0.036
Na 0.785 0.215 0.215
Na 0.785 0.215 0.785
Na 0.785 0.785 0.215
Co 0.124 0.627 0.628
Co 0.620 0.628 0.627
Co 0.627 0.124 0.620
Co 0.628 0.620 0.124
C 0.410 0.768 0.411
C 0.411 0.411 0.410
C 0.411 0.411 0.768
C 0.479 0.842 0.841
C 0.768 0.410 0.411
C 0.837 0.841 0.842
C 0.841 0.837 0.479
C 0.842 0.479 0.837
S 0.000 0.000 0.000
S 0.250 0.250 0.250
O 0.061 0.061 0.062
O 0.061 0.061 0.815
O 0.062 0.815 0.061
O 0.187 0.434 0.191
O 0.188 0.191 0.434
O 0.191 0.188 0.187
O 0.264 0.434 0.522
O 0.270 0.528 0.763
O 0.270 0.767 0.438
O 0.434 0.187 0.188
O 0.434 0.264 0.780
O 0.438 0.526 0.270
O 0.439 0.763 0.528
O 0.475 0.732 0.811
O 0.476 0.811 0.988
O 0.476 0.987 0.734
O 0.522 0.780 0.264
O 0.526 0.438 0.767
O 0.528 0.270 0.439
O 0.725 0.988 0.811
O 0.732 0.475 0.981
O 0.734 0.804 0.476
O 0.763 0.439 0.270
O 0.767 0.270 0.526
O 0.780 0.522 0.434
O 0.804 0.734 0.987
O 0.811 0.476 0.725
O 0.811 0.982 0.475
O 0.815 0.062 0.061
O 0.981 0.811 0.732
O 0.987 0.476 0.804
O 0.988 0.725 0.476


#2
Na4Co2C4SO16: relaxed, PBE with a Hubbard U.

Cell: 9.978 9.956 9.826 Å, 60.58 60.36 59.06°
Fractional coordinates of all 54 atoms:
Na 0.087 0.663 0.663
Na 0.088 0.662 0.088
Na 0.337 0.913 0.913
Na 0.338 0.912 0.338
Na 0.662 0.088 0.662
Na 0.663 0.087 0.087
Na 0.912 0.338 0.912
Na 0.913 0.337 0.337
Co 0.000 0.500 0.500
Co 0.500 0.000 0.500
Co 0.500 0.500 0.000
Co 0.500 0.500 0.500
C 0.282 0.640 0.290
C 0.288 0.290 0.640
C 0.290 0.288 0.282
C 0.360 0.718 0.712
C 0.640 0.282 0.288
C 0.710 0.712 0.718
C 0.712 0.710 0.360
C 0.718 0.360 0.710
S 0.125 0.125 0.125
S 0.875 0.875 0.875
O 0.058 0.310 0.065
O 0.065 0.066 0.058
O 0.066 0.065 0.310
O 0.143 0.319 0.647
O 0.143 0.401 0.307
O 0.144 0.634 0.406
O 0.307 0.648 0.143
O 0.310 0.058 0.066
O 0.317 0.406 0.634
O 0.319 0.143 0.391
O 0.352 0.693 0.599
O 0.353 0.609 0.857
O 0.366 0.856 0.683
O 0.391 0.647 0.319
O 0.401 0.143 0.648
O 0.406 0.317 0.144
O 0.594 0.683 0.856
O 0.599 0.857 0.352
O 0.609 0.353 0.681
O 0.634 0.144 0.317
O 0.647 0.391 0.143
O 0.648 0.307 0.401
O 0.681 0.857 0.609
O 0.683 0.594 0.366
O 0.690 0.942 0.934
O 0.693 0.352 0.857
O 0.856 0.366 0.594
O 0.857 0.599 0.693
O 0.857 0.681 0.353
O 0.934 0.935 0.690
O 0.935 0.934 0.942
O 0.942 0.690 0.935


Most stable structure, least stable structure: #1, #2.